CaSi3C4 GGA-PBE relaxed; E_tot = -52.5 eV/cell
1.0
2.830 -0.864 1.082
-2.238 -2.168 -0.463
4.811 -2.782 -10.223
Ca Si C
1 3 4
direct
0.488 0.744 0.768
0.981 0.991 0.028
0.500 0.250 0.250
0.019 0.509 0.472
0.868 0.934 0.199
0.389 0.194 0.417
0.911 0.456 0.633
0.344 0.672 0.984

***

LaYMn4Si4 GGA-PBE relaxed; E_tot = -75.6 eV/cell
1.0
-1.856 2.839 -2.035
-3.491 -1.585 0.972
-0.313 5.988 8.640
La Y Mn Si
1 1 4 4
direct
0.000 0.000 0.000
0.500 0.500 0.500
0.000 0.500 0.256
0.500 0.000 0.744
0.500 0.000 0.256
0.000 0.500 0.744
0.500 0.500 0.131
0.000 0.000 0.619
0.000 0.000 0.381
0.500 0.500 0.869

***

PrCu2 GGA-PBE relaxed; E_tot = -27.1 eV/cell
1.0
-2.197 3.595 3.712
2.197 -3.595 3.712
2.197 3.595 -3.712
Pr Cu
2 4
direct
0.212 0.462 0.750
0.788 0.538 0.250
0.385 0.835 0.550
0.615 0.165 0.450
0.216 0.165 0.050
0.784 0.835 0.950

***

Ho3Mn3Ga2Si GGA-PBE relaxed; E_tot = -55.9 eV/cell
1.0
-5.896 3.605 -0.429
2.866 -1.226 6.183
2.173 3.517 -0.310
Ho Mn Ga Si
3 3 2 1
direct
0.004 0.427 0.500
0.573 0.578 0.500
0.422 0.996 0.500
0.011 0.773 0.000
0.227 0.238 0.000
0.762 0.989 0.000
0.000 0.000 0.500
0.667 0.333 0.000
0.333 0.667 0.000

***

CeNi2As2 GGA-PBE relaxed; E_tot = -30.8 eV/cell
1.0
-2.052 2.052 5.016
2.052 -2.052 5.016
2.052 2.052 -5.016
Ce Ni As
1 2 2
direct
0.000 0.000 0.000
0.250 0.750 0.500
0.750 0.250 0.500
0.368 0.368 0.000
0.632 0.632 0.000

***

Zr2N GGA-PBE relaxed; E_tot = -58.2 eV/cell
1.0
5.437 0.000 0.000
0.000 5.437 0.000
0.000 0.000 3.321
Zr N
4 2
direct
0.296 0.296 0.000
0.704 0.704 0.000
0.204 0.796 0.500
0.796 0.204 0.500
0.000 0.000 0.000
0.500 0.500 0.500

***

NaAlGeO4 GGA-PBE relaxed; E_tot = -178.8 eV/cell
1.0
-2.836 0.149 0.473
-0.277 -8.885 1.144
1.778 1.266 10.258
Na Al Ge O
4 4 4 16
direct
0.500 0.257 0.901
0.500 0.757 0.099
0.000 0.741 0.592
0.000 0.241 0.408
0.500 0.435 0.139
0.500 0.935 0.861
0.500 0.422 0.647
0.500 0.922 0.353
0.000 0.558 0.362
0.000 0.058 0.638
0.000 0.585 0.851
0.000 0.085 0.149
0.500 0.120 0.267
0.500 0.620 0.733
0.000 0.891 0.235
0.000 0.391 0.765
0.500 0.421 0.326
0.500 0.921 0.674
0.000 0.570 0.179
0.000 0.070 0.821
0.500 0.026 0.036
0.500 0.526 0.964
0.000 0.979 0.465
0.000 0.479 0.535
0.500 0.202 0.603
0.500 0.702 0.397
0.000 0.795 0.900
0.000 0.295 0.100

***

HfZrNb2 GGA-PBE relaxed; E_tot = -38.4 eV/cell
1.0
1.682 -2.505 0.000
1.682 2.505 0.000
0.000 0.000 9.746
Hf Zr Nb
1 1 2
direct
0.000 0.000 0.020
0.500 0.500 0.733
0.000 0.000 0.485
0.500 0.500 0.262

***

Number 1: ρ 2.90 g cm⁻³. Number 2: ρ 5.65 g cm⁻³. Number 3: ρ 7.59 g cm⁻³. Number 4: ρ 7.98 g cm⁻³. Number 5: ρ 8.00 g cm⁻³. Number 6: ρ 6.64 g cm⁻³. Number 7: ρ 4.58 g cm⁻³. Number 8: ρ 9.21 g cm⁻³.